## LaSe (GGA-PBE)

Data for a relaxed structure of LaSe.

Properties
Energy of formation, meV per atom: -2230.3
Symmetry: No. 225

Lattice parameters (Å, degrees): 4.315 4.315 4.315 60.00 60.00 60.00
Positions (direct):
La 0.000 0.000 0.000
Se 0.500 0.500 0.500

---

## LaSe (GGA-PBE)

Data for a relaxed structure of LaSe.

Properties
Energy of formation, meV per atom: -1987.4
Total magnetic moment, μB per atom: 0.0001
Symmetry: No. 12

Lattice parameters (Å, degrees): 4.218 4.218 17.152 92.04 92.04 89.95
Positions (direct):
La 0.240 0.240 0.425
La 0.760 0.760 0.575
Se 0.263 0.263 0.602
Se 0.737 0.737 0.398

---

Question: What is the formula in the first record?
Answer: LaSe